Record 1
13
Lattice="3.6896 0.0000 0.0000 0.0000 3.6896 0.0000 0.0000 0.0000 12.5457" Properties=species:S:1:pos:R:3 comment="PBE+U Sr2AlTlCo2O7, relaxed" ef_mev_per_atom=-1924 e_tot_ev_per_cell=-75.27 sg=P4/mmm crystal_system=tetragonal pbc="T T T"
Sr 0.0000 0.0000 2.6130
Sr 0.0000 0.0000 9.9327
Al 0.0000 0.0000 6.2729
Tl 1.8448 1.8448 0.0000
Co 1.8448 1.8448 4.5452
Co 1.8448 1.8448 8.0006
O 0.0000 0.0000 0.0000
O 0.0000 1.8448 5.0600
O 0.0000 1.8448 7.4857
O 1.8448 0.0000 5.0600
O 1.8448 0.0000 7.4857
O 1.8448 1.8448 2.5317
O 1.8448 1.8448 10.0140

***

Record 2
43
Lattice="5.2335 0.0000 0.0000 0.0934 9.1667 0.0000 2.6065 4.4041 10.1098" Properties=species:S:1:pos:R:3 comment="PBE+U Li3Fe8B8O24, relaxed" ef_mev_per_atom=-2245 e_tot_ev_per_cell=-307.66 sg=P1 crystal_system=triclinic pbc="T T T"
Li 0.0000 0.0000 0.0000
Li 1.7186 3.2363 2.6171
Li 5.3040 9.0014 10.0518
Fe 2.6647 7.4588 9.7910
Fe 1.8358 6.2565 2.2957
Fe 2.6165 10.7314 4.8980
Fe 4.3074 4.5736 7.2297
Fe 5.2839 12.1212 9.8266
Fe 4.3477 1.5829 2.3359
Fe 5.1819 6.1034 4.7465
Fe 6.9883 9.1310 7.2695
B 2.6359 10.6086 9.8117
B 1.8335 9.2996 2.1212
B 2.5987 7.6503 4.8344
B 4.3601 10.6624 7.4045
B 5.2595 5.9966 9.8718
B 4.3678 4.5588 2.2504
B 5.1906 3.1263 4.7061
B 6.9253 6.0852 7.2971
O 1.2893 3.1131 4.5294
O 2.1576 7.3131 7.7492
O 1.9795 8.8138 5.3081
O 2.4899 4.9858 7.3630
O 1.7758 6.6379 4.3415
O 3.0336 10.6126 7.0170
O 1.4091 6.1963 0.0396
O 2.4599 1.2138 2.6191
O 2.4676 8.1436 1.6676
O 4.6144 7.1838 9.9206
O 4.5954 4.8273 9.3919
O 3.0109 4.6302 2.0445
O 3.9476 7.4884 4.8241
O 4.8558 11.9255 7.8342
O 4.5246 4.2488 5.2613
O 5.1766 9.5853 7.4262
O 4.3852 2.0517 4.2794
O 5.5952 6.0001 6.8464
O 3.9734 1.4640 0.1917
O 5.1252 5.5878 2.7770
O 5.0580 3.3705 1.8839
O 7.1698 11.7973 9.8596
O 7.2366 9.4234 9.4600
O 5.7079 9.3977 1.9948

***

Record 3
46
Lattice="5.2942 0.0000 0.0000 0.0000 9.0731 0.0000 -1.5745 0.0000 9.9412" Properties=species:S:1:pos:R:3 comment="PBE+U Li4Ti2Mn5O12, relaxed" ef_mev_per_atom=-2458 e_tot_ev_per_cell=-337.11 sg=P2_1 crystal_system=monoclinic pbc="T T T"
Li -0.3697 0.0000 2.3923
Li -1.1540 7.4517 7.5468
Li -0.2341 9.0349 9.9235
Li 2.2284 7.4189 2.4027
Li 1.4913 2.8823 7.5386
Li 3.9538 4.4984 0.0177
Li 4.8737 2.9151 2.3944
Li 4.0894 4.5365 7.5489
Ti 0.5700 1.4843 5.0362
Ti 1.3620 6.0570 0.0481
Ti 2.3577 1.5204 9.8931
Ti 3.1497 6.0208 4.9050
Mn -1.1034 1.3412 7.5596
Mn 0.5277 7.5497 5.0222
Mn 1.3188 3.0551 0.0527
Mn 0.5608 4.4483 4.9548
Mn 2.2103 1.4273 2.4189
Mn 1.5094 5.9638 7.5223
Mn 3.1589 8.9848 4.9864
Mn 2.4009 7.5916 9.8885
Mn 3.1920 3.0132 4.9190
Mn 4.8231 5.8777 2.3817
O -0.3729 6.0146 6.0998
O 0.4297 1.5675 1.1268
O 0.4698 4.5209 1.0717
O -0.3015 0.0062 6.1057
O -0.2616 2.8162 6.1801
O 0.5243 7.3343 1.2392
O 1.2727 2.7924 3.8098
O 1.2890 0.0050 3.8073
O 0.4933 4.5230 8.8133
O 0.5046 7.3086 8.7593
O 0.6410 1.6314 8.9008
O 1.4838 6.0854 3.9067
O 2.2359 1.5489 6.0346
O 3.0787 6.1679 1.0405
O 3.2151 2.7720 1.1820
O 2.4307 4.5415 6.1339
O 3.2264 9.0595 1.1279
O 2.4470 7.3289 6.1314
O 3.1953 2.7977 8.7020
O 3.9813 7.3527 3.7611
O 4.0212 4.5427 3.8355
O 3.2498 9.0574 8.8696
O 3.2900 6.1040 8.8144
O 4.0926 1.4780 3.8415

***

Record 4
20
Lattice="5.6290 0.0000 0.0000 0.0000 7.8546 0.0000 0.0000 0.0000 5.4178" Properties=species:S:1:pos:R:3 comment="PBE+U VSnO3, relaxed" ef_mev_per_atom=-1958 e_tot_ev_per_cell=-135.87 sg=Pnma crystal_system=orthorhombic pbc="T T T"
V 0.2644 1.9637 0.0470
V 2.5501 5.8910 2.7559
V 3.0789 1.9637 2.6619
V 5.3646 5.8910 5.3708
Sn 0.0000 0.0000 2.7089
Sn 0.0000 3.9273 2.7089
Sn 2.8145 0.0000 0.0000
Sn 2.8145 3.9273 0.0000
O 0.4141 5.8910 1.9727
O 1.0514 4.4817 4.4513
O 1.0514 7.3002 4.4513
O 1.7631 0.5544 1.7424
O 1.7631 3.3729 1.7424
O 2.4004 1.9637 4.6816
O 3.2286 5.8910 0.7362
O 3.8659 4.4817 3.6754
O 3.8659 7.3002 3.6754
O 4.5777 0.5544 0.9665
O 4.5777 3.3729 0.9665
O 5.2149 1.9637 3.4451

***

Record 5
22
Lattice="5.4940 0.0000 0.0000 -0.6193 6.9615 0.0000 -0.6194 -0.1105 6.9690" Properties=species:S:1:pos:R:3 comment="PBE+U Li2Mn2OF6, relaxed" ef_mev_per_atom=-2747 e_tot_ev_per_cell=-124.01 sg=P-1 crystal_system=triclinic pbc="T T T"
Li -0.0818 1.3113 3.3231
Li 1.5883 3.5491 5.6044
Li 2.6671 3.3020 1.3646
Li 4.3372 5.5398 3.6459
Mn -0.4126 5.2671 0.0603
Mn 1.9152 6.8849 1.7036
Mn 2.3401 -0.0339 5.2654
Mn 4.6679 1.5839 6.9087
O 0.7492 6.7956 0.1774
O 3.5061 0.0555 6.7916
F -0.5944 1.6899 5.0691
F -0.4753 4.8691 5.2544
F 1.0144 3.2130 0.1006
F 0.4955 6.8016 3.7441
F 1.9854 1.6925 2.0284
F 2.1073 1.8108 5.2021
F 2.1480 5.0403 1.7669
F 2.2699 5.1586 4.9406
F 3.7598 0.0495 3.2249
F 3.2410 3.6380 6.8684
F 4.7307 1.9819 1.7146
F 4.8498 5.1611 1.8999

***

Record 6
28
Lattice="5.2029 -2.9010 0.0000 5.2029 2.9010 0.0000 -0.0854 0.0000 10.2845" Properties=species:S:1:pos:R:3 comment="PBE+U Li4V3Ni3Te2O16, relaxed" ef_mev_per_atom=-1951 e_tot_ev_per_cell=-168.58 sg=Cm crystal_system=monoclinic pbc="T T T"
Li 0.0000 0.0000 0.0000
Li -0.0049 0.0000 5.2169
Li 3.5273 0.0000 9.4145
Li 6.9376 0.0000 4.3143
V 4.2191 1.3944 2.4097
V 4.2191 -1.3944 2.4097
V 8.4896 0.0000 7.6864
Ni 1.8001 0.0000 2.2645
Ni 6.1029 1.4126 7.5070
Ni 6.1029 -1.4126 7.5070
Te 3.4658 0.0000 5.4436
Te 6.8038 0.0000 0.1083
O 0.0051 0.0000 3.2658
O 2.7852 1.4494 3.3991
O 1.6831 0.0000 6.2964
O 4.3381 1.4704 6.3422
O 5.9870 1.4777 1.1215
O 3.6155 0.0000 1.1823
O 5.1078 0.0000 3.4592
O 2.7852 -1.4494 3.3991
O 5.3861 0.0000 8.8793
O 7.8465 1.3230 8.6842
O 4.3381 -1.4704 6.3422
O 7.1443 0.0000 6.3889
O 5.9870 -1.4777 1.1215
O 8.9182 0.0000 1.2770
O 7.8465 -1.3230 8.6842
O 10.2497 0.0000 8.3608

***

Record 7
16
Lattice="5.2723 -2.9842 0.0000 5.2723 2.9842 0.0000 -1.7627 0.0000 5.0526" Properties=species:S:1:pos:R:3 comment="PBE+U LiV3O4, relaxed" ef_mev_per_atom=-2287 e_tot_ev_per_cell=-118.79 sg=C2/m crystal_system=monoclinic pbc="T T T"
Li 2.6361 1.4921 0.0000
Li 2.6361 -1.4921 0.0000
V 0.0000 0.0000 0.0000
V 4.3909 1.5697 2.5263
V 1.7865 0.0000 2.5309
V 5.2723 0.0000 0.0000
V 6.9954 0.0000 2.5216
V 4.3909 -1.5697 2.5263
O 2.6181 1.5073 3.7453
O 0.0165 0.0000 3.7759
O 6.1638 1.5073 1.3073
O 3.5841 0.0000 1.3605
O 5.1977 0.0000 3.6920
O 2.6181 -1.5073 3.7453
O 8.7653 0.0000 1.2767
O 6.1638 -1.5073 1.3073

***

Record 8
68
Lattice="8.6530 0.0000 0.0000 0.0000 8.6530 0.0000 0.0000 0.0000 8.6530" Properties=species:S:1:pos:R:3 comment="PBE+U Li5MnV3O8, relaxed" ef_mev_per_atom=-2299 e_tot_ev_per_cell=-449.44 sg=P4_332 crystal_system=cubic pbc="T T T"
Li 0.4560 0.4560 0.4560
Li 0.9646 7.4544 7.5714
Li 1.0816 5.2912 5.5251
Li 1.1986 3.2449 3.3619
Li 1.7072 1.7072 1.7072
Li 2.6193 6.9458 6.0337
Li 3.1279 5.4081 7.6884
Li 3.2449 3.3619 1.1986
Li 3.3619 1.1986 3.2449
Li 3.8705 8.1970 4.7826
Li 4.7826 3.8705 8.1970
Li 5.2912 5.5251 1.0816
Li 5.4081 7.6884 3.1279
Li 5.5251 1.0816 5.2912
Li 6.0337 2.6193 6.9458
Li 6.9458 6.0337 2.6193
Li 7.4544 7.5714 0.9646
Li 7.5714 0.9646 7.4544
Li 7.6884 3.1279 5.4081
Li 8.1970 4.7826 3.8705
Mn 1.0816 7.5714 3.2449
Mn 3.2449 1.0816 7.5714
Mn 5.4081 5.4081 5.4081
Mn 7.5714 3.2449 1.0816
V 1.0769 1.0864 5.4081
V 1.0816 3.2496 7.5667
V 1.0864 5.4081 1.0769
V 3.2401 3.2449 5.4034
V 3.2449 5.4034 3.2401
V 3.2496 7.5667 1.0816
V 5.4034 3.2401 3.2449
V 5.4081 1.0769 1.0864
V 5.4129 7.5714 7.5761
V 7.5667 1.0816 3.2496
V 7.5714 7.5761 5.4129
V 7.5761 5.4129 7.5714
O 0.9624 1.1302 3.3381
O 0.9884 7.6906 5.4567
O 1.0331 1.2008 7.4782
O 1.0356 5.3621 7.6174
O 1.1276 3.1989 5.4541
O 1.1302 3.3381 0.9624
O 1.1749 5.3596 3.1257
O 1.2008 7.4782 1.0331
O 3.1257 1.1749 5.3596
O 3.1517 3.2934 7.4522
O 3.1964 5.3149 5.2890
O 3.1989 5.4541 1.1276
O 3.2909 3.2909 3.2909
O 3.2934 7.4522 3.1517
O 3.3381 0.9624 1.1302
O 3.3641 7.5229 7.6646
O 5.2890 3.1964 5.3149
O 5.3149 5.2890 3.1964
O 5.3596 3.1257 1.1749
O 5.3621 7.6174 1.0356
O 5.4541 1.1276 3.1989
O 5.4567 0.9884 7.6906
O 5.5014 7.6199 5.5273
O 5.5273 5.5014 7.6199
O 7.4522 3.1517 3.2934
O 7.4782 1.0331 1.2008
O 7.5229 7.6646 3.3641
O 7.5254 7.5254 7.5254
O 7.6174 1.0356 5.3621
O 7.6199 5.5273 5.5014
O 7.6646 3.3641 7.5229
O 7.6906 5.4567 0.9884

***

Record 9
30
Lattice="6.9295 0.0000 0.0000 -3.0769 6.2089 0.0000 -1.9263 -3.1044 8.0341" Properties=species:S:1:pos:R:3 comment="PBE+U CaV2P2O10, relaxed" ef_mev_per_atom=-2777 e_tot_ev_per_cell=-223.74 sg=P1 crystal_system=triclinic pbc="T T T"
Ca 0.0000 0.0000 0.0000
Ca -1.6301 3.0870 3.9896
V -1.6588 0.0262 6.1193
V 2.5919 1.7643 1.9288
V 1.0235 4.8395 2.1119
V 1.8667 0.0037 5.8930
P -1.5862 3.0989 0.6978
P -0.0127 -0.0189 3.3337
P -1.5796 3.1794 7.3183
P 1.8593 3.1706 4.6654
O 5.4690 -1.9377 5.6092
O -2.4516 -0.7865 7.8136
O -1.0051 0.8386 4.2275
O -2.0899 1.9489 6.4391
O -0.8002 4.0841 1.5758
O 0.6933 1.0012 2.3443
O 0.9354 -0.7706 4.2388
O 2.2355 0.5851 0.2173
O -0.0487 0.0105 6.6458
O 1.9962 -1.9557 6.4302
O 1.8508 3.1578 1.3248
O 0.7721 3.7328 3.7679
O 1.4696 5.7273 0.2877
O 3.4813 0.0624 2.6426
O 1.3951 1.9565 5.5744
O 3.4115 0.0546 5.3907
O 3.0334 2.6496 3.7641
O 2.4908 0.8149 7.8064
O 4.5229 2.1766 1.6056
O 3.0189 5.2361 2.3854

***

Record 10
28
Lattice="5.1991 -2.9396 0.0000 5.1991 2.9396 0.0000 -0.5477 0.0000 9.7511" Properties=species:S:1:pos:R:3 comment="PBE+U Li4Cr3Cu3Te2O16, relaxed" ef_mev_per_atom=-1811 e_tot_ev_per_cell=-168.07 sg=Cm crystal_system=monoclinic pbc="T T T"
Li 0.0000 0.0000 0.0000
Li -0.2150 0.0000 4.9472
Li 3.2973 0.0000 4.2336
Li 6.3727 0.0000 9.1074
Cr 1.4342 0.0000 7.1620
Cr 6.0131 1.4459 2.2699
Cr 6.0131 -1.4459 2.2699
Cu 3.9829 1.4441 7.1158
Cu 3.9829 -1.4441 7.1158
Cu 8.5645 0.0000 2.2552
Te 3.4545 0.0000 0.0451
Te 6.7725 0.0000 4.9041
O -0.1099 0.0000 3.1224
O -0.3835 0.0000 7.9158
O 2.0760 1.2922 8.5869
O 1.7390 0.0000 1.1624
O 4.3151 1.4470 1.0550
O 3.1582 0.0000 6.2376
O 5.9149 1.4292 5.9001
O 2.0760 -1.2922 8.5869
O 4.4609 0.0000 8.5263
O 7.5179 1.3373 3.6207
O 5.2640 0.0000 3.5303
O 4.3151 -1.4470 1.0550
O 6.8829 0.0000 1.3093
O 5.9149 -1.4292 5.9001
O 8.4507 0.0000 5.9030
O 7.5179 -1.3373 3.6207